# La20Al3Si9O52

A geometry-optimized La20Al3Si9O52 structure (PBE-GGA, the Materials Project database).

Uncorrected energy (eV per cell): -694.5

```
data_La20Al3Si9O52
_chemical_formula_sum 'La20 Al3 Si9 O52'
_cell_length_a 7.2806
_cell_length_b 9.8656
_cell_length_c 17.0802
_cell_angle_alpha 90.01
_cell_angle_beta 90.05
_cell_angle_gamma 90.01
_symmetry_space_group_name_H-M 'P 1'
_symmetry_Int_Tables_number 1
loop_
_symmetry_equiv_pos_as_xyz
'x,y,z'
loop_
_atom_site_label
_atom_site_type_symbol
_atom_site_fract_x
_atom_site_fract_y
_atom_site_fract_z
La1 La 0.0000 0.0000 0.0000
La2 La 0.9996 0.0052 0.2389
La3 La 0.9997 0.3573 0.1134
La4 La 0.9997 0.5069 0.5007
La5 La 0.2477 0.1206 0.4533
La6 La 0.2494 0.6206 0.9529
La7 La 0.2507 0.1168 0.7858
La8 La 0.2521 0.6231 0.2876
La9 La 0.4988 0.2487 0.2342
La10 La 0.4993 0.3858 0.6221
La11 La 0.4994 0.7476 0.7345
La12 La 0.4997 0.2420 0.0024
La13 La 0.4997 0.7329 0.4978
La14 La 0.5000 0.8823 0.1201
La15 La 0.7504 0.6228 0.2866
La16 La 0.7522 0.1183 0.7863
La17 La 0.7530 0.6193 0.9534
La18 La 0.7547 0.1208 0.4534
La19 La 0.9990 0.5115 0.7405
La20 La 0.9989 0.8580 0.6187
Al1 Al 0.0014 0.7958 0.4176
Al2 Al 0.0015 0.8359 0.8060
Al3 Al 0.5015 0.5115 0.1054
Si1 Si 0.0015 0.2380 0.6341
Si2 Si 0.0012 0.3371 0.3043
Si3 Si 0.0023 0.2924 0.9173
Si4 Si 0.0019 0.7344 0.1339
Si5 Si 0.5013 0.4499 0.8191
Si6 Si 0.5019 0.0095 0.6035
Si7 Si 0.5021 0.4045 0.4332
Si8 Si 0.5019 0.9059 0.9325
Si9 Si 0.5017 0.9531 0.3195
O1 O 0.0034 0.2064 0.3637
O2 O 0.0030 0.6938 0.8679
O3 O 0.0027 0.9598 0.4577
O4 O 0.0036 0.2171 0.5388
O5 O 0.0044 0.4455 0.9546
O6 O 0.0038 0.7120 0.0386
O7 O 0.1848 0.3402 0.2475
O8 O 0.1861 0.2055 0.9445
O9 O 0.1856 0.3207 0.6648
O10 O 0.1856 0.8200 0.1629
O11 O 0.1953 0.6966 0.4451
O12 O 0.1955 0.8452 0.7428
O13 O 0.3121 0.4112 0.0737
O14 O 0.3207 0.0388 0.2883
O15 O 0.3210 0.5362 0.7878
O16 O 0.3208 0.9118 0.9910
O17 O 0.3215 0.9204 0.5754
O18 O 0.3217 0.4067 0.4921
O19 O 0.4878 0.6196 0.6185
O20 O 0.4889 0.1202 0.1199
O21 O 0.4973 0.4520 0.9160
O22 O 0.4978 0.1549 0.5547
O23 O 0.4979 0.2599 0.3838
O24 O 0.4979 0.6636 0.0503
O25 O 0.4979 0.7604 0.8842
O26 O 0.4979 0.9530 0.4165
O27 O 0.5029 0.5329 0.2075
O28 O 0.5043 0.0345 0.6985
O29 O 0.5038 0.0367 0.8730
O30 O 0.5037 0.2953 0.7835
O31 O 0.5044 0.5372 0.3754
O32 O 0.5037 0.7985 0.2836
O33 O 0.6845 0.5373 0.7922
O34 O 0.6854 0.0401 0.2926
O35 O 0.6851 0.4000 0.4907
O36 O 0.6852 0.9264 0.5729
O37 O 0.6857 0.9051 0.9896
O38 O 0.6946 0.4191 0.0698
O39 O 0.8113 0.6983 0.4509
O40 O 0.8109 0.8355 0.7406
O41 O 0.8203 0.3266 0.6621
O42 O 0.8212 0.2066 0.9484
O43 O 0.8206 0.3332 0.2457
O44 O 0.8206 0.8251 0.1601
O45 O 0.9881 0.1192 0.1183
O46 O 0.9895 0.6206 0.6203
O47 O 0.9974 0.0921 0.6822
O48 O 0.9974 0.4829 0.3522
O49 O 0.9981 0.2934 0.8203
O50 O 0.9982 0.5893 0.1824
O51 O 0.9979 0.7907 0.3138
O52 O 0.9980 0.9949 0.8545
```

=====

# SrLaAlO4

A geometry-optimized SrLaAlO4 structure (PBE-GGA, the Materials Project database).

Uncorrected energy (eV per cell): -104.5

```
data_SrLaAlO4
_chemical_formula_sum 'Sr2 La2 Al2 O8'
_cell_length_a 3.8017
_cell_length_b 3.8017
_cell_length_c 12.5725
_cell_angle_alpha 90.00
_cell_angle_beta 90.00
_cell_angle_gamma 90.00
_symmetry_space_group_name_H-M 'I 4 m m'
_symmetry_Int_Tables_number 107
_symmetry_space_group_name_Hall 'I 4 -2'
loop_
_atom_site_label
_atom_site_type_symbol
_atom_site_fract_x
_atom_site_fract_y
_atom_site_fract_z
Sr1 Sr 0.0000 0.0000 0.0000
La1 La 0.0000 0.0000 0.7159
Al1 Al 0.0000 0.0000 0.3622
O1 O 0.0000 0.0000 0.1972
O2 O 0.0000 0.0000 0.5221
O3 O 0.0000 0.5000 0.3537
```

=====

# SrLa2Al2O7

A geometry-optimized SrLa2Al2O7 structure (PBE-GGA, the Materials Project database).

Uncorrected energy (eV per cell): -184.7

```
data_SrLa2Al2O7
_chemical_formula_sum 'Sr2 La4 Al4 O14'
_cell_length_a 3.7835
_cell_length_b 3.7835
_cell_length_c 20.6678
_cell_angle_alpha 90.00
_cell_angle_beta 90.00
_cell_angle_gamma 90.00
_symmetry_space_group_name_H-M 'I 4/m m m'
_symmetry_Int_Tables_number 139
_symmetry_space_group_name_Hall '-I 4 2'
loop_
_atom_site_label
_atom_site_type_symbol
_atom_site_fract_x
_atom_site_fract_y
_atom_site_fract_z
Sr1 Sr 0.0000 0.0000 0.0000
La1 La 0.0000 0.0000 0.1805
Al1 Al 0.0000 0.0000 0.4101
O1 O 0.0000 0.0000 0.2985
O2 O 0.0000 0.0000 0.5000
O3 O 0.0000 0.5000 0.0997
```

=====

uncorrected energy of number 3 (SrLa2Al2O7)? -184.7 eV per cell

=====

Copy entry 2 word for word.
# SrLaAlO4

A geometry-optimized SrLaAlO4 structure (PBE-GGA, the Materials Project database).

Uncorrected energy (eV per cell): -104.5

```
data_SrLaAlO4
_chemical_formula_sum 'Sr2 La2 Al2 O8'
_cell_length_a 3.8017
_cell_length_b 3.8017
_cell_length_c 12.5725
_cell_angle_alpha 90.00
_cell_angle_beta 90.00
_cell_angle_gamma 90.00
_symmetry_space_group_name_H-M 'I 4 m m'
_symmetry_Int_Tables_number 107
_symmetry_space_group_name_Hall 'I 4 -2'
loop_
_atom_site_label
_atom_site_type_symbol
_atom_site_fract_x
_atom_site_fract_y
_atom_site_fract_z
Sr1 Sr 0.0000 0.0000 0.0000
La1 La 0.0000 0.0000 0.7159
Al1 Al 0.0000 0.0000 0.3622
O1 O 0.0000 0.0000 0.1972
O2 O 0.0000 0.0000 0.5221
O3 O 0.0000 0.5000 0.3537
```

=====

Look up the uncorrected energy of the first one. -694.5 eV per cell

=====

What is the uncorrected energy in the first record? -694.5 eV per cell